[1]
# ZrPbS3 (PBE, optimized geometry)
data_ZrPbS3
_chemical_formula_sum 'Zr4 Pb4 S12'
_symmetry_space_group_name_H-M 'P n m a'
_symmetry_Int_Tables_number 62
_cell_length_a 9.225
_cell_length_b 3.817
_cell_length_c 14.171
_cell_angle_alpha 90.00
_cell_angle_beta 90.00
_cell_angle_gamma 90.00
loop_
_symmetry_equiv_pos_as_xyz
'x,y,z'
'-x,-y,-z'
'-x+1/2,-y,z+1/2'
'x+1/2,y,-z+1/2'
'x+1/2,-y+1/2,-z+1/2'
'-x+1/2,y+1/2,z+1/2'
'-x,y+1/2,-z'
'x,-y+1/2,z'
loop_
_atom_site_label
_atom_site_type_symbol
_atom_site_fract_x
_atom_site_fract_y
_atom_site_fract_z
_atom_site_occupancy
Zr1 Zr 0.166 0.250 0.049 1
Pb1 Pb 0.023 0.250 0.673 1
S1 S 0.009 0.250 0.895 1
S2 S 0.169 0.250 0.490 1
S3 S 0.227 0.750 0.714 1
# Calculated density in g cm⁻³: 5.253
# E in eV for the cell shown: -121.05
# Formation enthalpy at 0 K in meV/atom: -1420


[2]
# Sb2Te4Pb (PBE, optimized geometry)
data_Sb2Te4Pb
_chemical_formula_sum 'Sb6 Te12 Pb3'
_symmetry_space_group_name_H-M 'R -3 m'
_symmetry_Int_Tables_number 166
_symmetry_space_group_name_Hall '-R 3 2"'
_cell_length_a 4.4181
_cell_length_b 4.4181
_cell_length_c 42.4739
_cell_angle_alpha 90.00
_cell_angle_beta 90.00
_cell_angle_gamma 120.00
loop_
_atom_site_label
_atom_site_type_symbol
_atom_site_fract_x
_atom_site_fract_y
_atom_site_fract_z
_atom_site_occupancy
Sb1 Sb 0.0000 0.0000 0.0731 1
Te1 Te 0.0000 0.0000 0.2142 1
Te2 Te 0.0000 0.0000 0.3676 1
Pb1 Pb 0.0000 0.0000 0.5000 1
# Calculated density in g cm⁻³: 6.668
# E in eV for the cell shown: -77.88
# Formation enthalpy at 0 K in meV/atom: -202